Compound: Rb3Bi2Br9
Source: the Materials Project
Functional: GGA-PBE
Structure: relaxed

Values from the calculation:
ΔH_f (0 K), eV/atom: -1.577
Crystal system: monoclinic

a b c (Å): 19.7790 8.1591 13.9566
angles (deg): 90.00 90.56 90.00
Space group P2_1/c (No. 14)
One atom of each set of equivalent atoms:
Rb (0.0726, 0.0590, 0.3194) [4 per cell]
Rb (0.2551, 0.5413, 0.4881) [4 per cell]
Rb (0.4206, 0.0515, 0.6555) [4 per cell]
Bi (0.1582, 0.5088, 0.1595) [4 per cell]
Bi (0.3409, 0.0014, 0.3264) [4 per cell]
Br (0.0583, 0.1962, 0.5874) [4 per cell]
Br (0.0894, 0.7075, 0.6126) [4 per cell]
Br (0.1025, 0.9997, 0.8407) [4 per cell]
Br (0.2200, 0.5176, 0.9603) [4 per cell]
Br (0.2467, 0.2032, 0.1979) [4 per cell]
Br (0.2830, 0.6947, 0.2296) [4 per cell]
Br (0.3939, 0.2219, 0.9142) [4 per cell]
Br (0.4160, 0.7056, 0.9447) [4 per cell]
Br (0.4371, 0.0050, 0.1849) [4 per cell]